! Sn5O7, relaxed, DFT PBE; values from VASP
! spin magnetization = 0.00 μB/f.u.
! symmetry = Cmcm
&SYSTEM
  ibrav = 0, nat = 24, ntyp = 2
/
ATOMIC_SPECIES
Sn 118.71 Sn.upf
O 16.00 O.upf
CELL_PARAMETERS angstrom
0.1179 5.2968 4.2730
-3.2848 -4.7308 -3.6275
0.8905 -12.1111 14.9883
ATOMIC_POSITIONS crystal
Sn 0.7379 0.2621 0.5765
Sn 0.0000 0.0000 0.5000
Sn 0.0000 0.0000 0.0000
Sn 0.2621 0.7379 0.4235
Sn 0.2621 0.7379 0.0765
Sn 0.7379 0.2621 0.9235
Sn 0.5428 0.4572 0.1520
Sn 0.4572 0.5428 0.8480
Sn 0.4572 0.5428 0.6520
Sn 0.5428 0.4572 0.3480
O 0.3274 0.6726 0.9751
O 0.6726 0.3274 0.0249
O 0.6726 0.3274 0.4751
O 0.3274 0.6726 0.5249
O 0.8491 0.1509 0.8479
O 0.1509 0.8491 0.1521
O 0.1509 0.8491 0.3479
O 0.8491 0.1509 0.6521
O 0.1519 0.8481 0.8977
O 0.8481 0.1519 0.1023
O 0.8481 0.1519 0.3977
O 0.1519 0.8481 0.6023
O 0.5018 0.4982 0.7500
O 0.4982 0.5018 0.2500


! Sn3O8, relaxed, DFT PBE; values from VASP
! spin magnetization = 4.00 μB/f.u.
! symmetry = Immm
&SYSTEM
  ibrav = 0, nat = 11, ntyp = 2
/
ATOMIC_SPECIES
Sn 118.71 Sn.upf
O 16.00 O.upf
CELL_PARAMETERS angstrom
4.0653 0.7611 -4.1841
2.2295 -3.5291 4.1458
-4.8107 -2.3649 -2.4242
ATOMIC_POSITIONS crystal
Sn 0.5000 0.7593 0.2593
Sn 0.5000 0.2407 0.7407
Sn 0.0000 0.0000 0.0000
O 0.7941 0.0162 0.2222
O 0.7941 0.5719 0.7778
O 0.2059 0.4281 0.2222
O 0.2059 0.9838 0.7778
O 0.6921 0.0000 0.6921
O 0.6838 0.5000 0.1838
O 0.3079 0.0000 0.3079
O 0.3162 0.5000 0.8162


! SnO, relaxed, DFT PBE; values from VASP
! spin magnetization = 0.00 μB/f.u.
! symmetry = Cmce
&SYSTEM
  ibrav = 0, nat = 8, ntyp = 2
/
ATOMIC_SPECIES
Sn 118.71 Sn.upf
O 16.00 O.upf
CELL_PARAMETERS angstrom
2.7369 -2.7378 0.0000
2.7369 2.7378 0.0000
0.0000 0.0000 10.2220
ATOMIC_POSITIONS crystal
Sn 0.7365 0.2635 0.8639
Sn 0.2635 0.7365 0.1361
Sn 0.7635 0.2365 0.3639
Sn 0.2365 0.7635 0.6361
O 0.2619 0.2381 0.2500
O 0.7381 0.7619 0.7500
O 0.2381 0.2619 0.7500
O 0.7619 0.7381 0.2500


! SnO, relaxed, DFT PBE; values from VASP
! spin magnetization = 0.00 μB/f.u.
! symmetry = P1
&SYSTEM
  ibrav = 0, nat = 80, ntyp = 2
/
ATOMIC_SPECIES
Sn 118.71 Sn.upf
O 16.00 O.upf
CELL_PARAMETERS angstrom
11.7148 0.2276 -0.8716
0.2041 12.7329 0.1161
-0.8553 0.1392 12.1497
ATOMIC_POSITIONS crystal
Sn 0.8065 0.1063 0.7579
Sn 0.7332 0.5229 0.1551
Sn 0.5941 0.5491 0.5282
Sn 0.6835 0.8404 0.2442
Sn 0.9620 0.9864 0.5384
Sn 0.3058 0.1921 0.4722
Sn 0.9030 0.5228 0.6244
Sn 0.2740 0.8492 0.1207
Sn 0.1690 0.9319 0.3638
Sn 0.6695 0.3074 0.9160
Sn 0.6485 0.0515 0.0017
Sn 0.4369 0.8225 0.4165
Sn 0.9182 0.9612 0.1964
Sn 0.0514 0.2435 0.6573
Sn 0.7463 0.2184 0.2489
Sn 0.4075 0.1569 0.1825
Sn 0.5280 0.0665 0.7012
Sn 0.9710 0.1690 0.0168
Sn 0.3385 0.0670 0.9298
Sn 0.0860 0.9454 0.8445
Sn 0.4023 0.4523 0.0074
Sn 0.0228 0.4433 0.1900
Sn 0.3012 0.4659 0.2632
Sn 0.4966 0.6883 0.0992
Sn 0.5875 0.6573 0.8022
Sn 0.0147 0.7319 0.6856
Sn 0.7145 0.3327 0.6416
Sn 0.3783 0.3014 0.7662
Sn 0.2498 0.6551 0.5714
Sn 0.1536 0.5702 0.9626
Sn 0.5374 0.0828 0.4313
Sn 0.9884 0.7266 0.0875
Sn 0.1736 0.4111 0.5227
Sn 0.8964 0.4442 0.9183
Sn 0.0182 0.2029 0.3717
Sn 0.2888 0.9491 0.6631
Sn 0.1949 0.2839 0.9996
Sn 0.9142 0.7047 0.4162
Sn 0.7110 0.8552 0.6194
Sn 0.3294 0.7418 0.8440
O 0.0056 0.3998 0.5804
O 0.9656 0.1559 0.5260
O 0.5188 0.7206 0.9335
O 0.4847 0.0756 0.0550
O 0.8264 0.4500 0.7480
O 0.8360 0.7757 0.5436
O 0.5284 0.5226 0.1102
O 0.3322 0.6070 0.9777
O 0.0714 0.7352 0.5276
O 0.2604 0.1236 0.0678
O 0.2816 0.2219 0.8763
O 0.1513 0.7538 0.1670
O 0.7376 0.9558 0.1356
O 0.4945 0.1742 0.8162
O 0.6333 0.1232 0.3109
O 0.1906 0.6650 0.7256
O 0.2971 0.8914 0.5011
O 0.8645 0.8355 0.3012
O 0.1531 0.4402 0.3392
O 0.7387 0.4567 0.9862
O 0.2352 0.4293 0.9179
O 0.6779 0.6890 0.1527
O 0.5976 0.1542 0.5809
O 0.5836 0.9197 0.4830
O 0.4227 0.6808 0.7209
O 0.9428 0.5932 0.1693
O 0.4882 0.3804 0.9006
O 0.8328 0.9825 0.6490
O 0.3224 0.9074 0.2836
O 0.9672 0.0683 0.8695
O 0.5599 0.4189 0.6110
O 0.3481 0.3375 0.1134
O 0.1712 0.0978 0.3947
O 0.3415 0.1008 0.6211
O 0.7554 0.4771 0.5252
O 0.1728 0.5012 0.1280
O 0.8939 0.1009 0.2849
O 0.6982 0.2014 0.0665
O 0.8765 0.2820 0.9182
O 0.1055 0.9872 0.6784


! Sn2O, relaxed, DFT PBE; values from VASP
! spin magnetization = 0.00 μB/f.u.
! symmetry = P4/mmm
&SYSTEM
  ibrav = 0, nat = 3, ntyp = 2
/
ATOMIC_SPECIES
Sn 118.71 Sn.upf
O 16.00 O.upf
CELL_PARAMETERS angstrom
3.2241 0.0000 0.0000
0.0000 3.2241 0.0000
0.0000 0.0000 8.3752
ATOMIC_POSITIONS crystal
Sn 0.5000 0.5000 0.2351
Sn 0.5000 0.5000 0.7649
O 0.5000 0.5000 0.0000


! Sr2SnO4, relaxed, DFT PBE; values from VASP
! energy relative to the lowest polymorph listed for this composition = 0 meV per atom
! symmetry = P4_2/ncm
&SYSTEM
  ibrav = 0, nat = 28, ntyp = 3
/
ATOMIC_SPECIES
Sr 87.62 Sr.upf
Sn 118.71 Sn.upf
O 16.00 O.upf
CELL_PARAMETERS angstrom
5.8772 0.0000 0.0000
0.0000 5.8772 0.0000
0.0000 0.0000 12.5243
ATOMIC_POSITIONS crystal
Sr 0.7647 0.2647 0.3969
Sr 0.2647 0.2353 0.6031
Sr 0.7353 0.7647 0.6031
Sr 0.2353 0.7353 0.3969
Sr 0.7353 0.2353 0.1031
Sr 0.2353 0.2647 0.8969
Sr 0.7647 0.7353 0.8969
Sr 0.2647 0.7647 0.1031
Sn 0.7500 0.2500 0.7500
Sn 0.2500 0.2500 0.2500
Sn 0.7500 0.7500 0.2500
Sn 0.2500 0.7500 0.7500
O 0.7061 0.2061 0.5867
O 0.2061 0.2939 0.4133
O 0.7939 0.7061 0.4133
O 0.2939 0.7939 0.5867
O 0.7939 0.2939 0.9133
O 0.2939 0.2061 0.0867
O 0.7061 0.7939 0.0867
O 0.2061 0.7061 0.9133
O 0.0000 0.0000 0.2500
O 0.5000 0.5000 0.7500
O 0.5000 0.5000 0.2500
O 0.0000 0.0000 0.7500
O 0.5000 0.0000 0.7808
O 0.0000 0.5000 0.2192
O 0.0000 0.5000 0.7192
O 0.5000 0.0000 0.2808


! Sr2SnO4, relaxed, DFT PBE; values from VASP
! energy relative to the lowest polymorph listed for this composition = 3 meV per atom
! symmetry = Pccn
&SYSTEM
  ibrav = 0, nat = 28, ntyp = 3
/
ATOMIC_SPECIES
Sr 87.62 Sr.upf
Sn 118.71 Sn.upf
O 16.00 O.upf
CELL_PARAMETERS angstrom
5.8179 0.0000 0.0000
0.0000 5.8841 0.0000
0.0000 0.0000 12.6354
ATOMIC_POSITIONS crystal
Sr 0.0080 0.0116 0.3529
Sr 0.4920 0.4884 0.3529
Sr 0.9920 0.5116 0.1471
Sr 0.5080 0.9884 0.1471
Sr 0.9920 0.9884 0.6471
Sr 0.5080 0.5116 0.6471
Sr 0.0080 0.4884 0.8529
Sr 0.4920 0.0116 0.8529
Sn 0.0000 0.0000 0.0000
Sn 0.5000 0.5000 0.0000
Sn 0.0000 0.5000 0.5000
Sn 0.5000 0.0000 0.5000
O 0.9876 0.9509 0.1634
O 0.5124 0.5491 0.1634
O 0.0124 0.4509 0.3366
O 0.4876 0.0491 0.3366
O 0.0124 0.0491 0.8366
O 0.4876 0.4509 0.8366
O 0.9876 0.5491 0.6634
O 0.5124 0.9509 0.6634
O 0.2500 0.2500 0.0218
O 0.7500 0.7500 0.4782
O 0.7500 0.7500 0.9782
O 0.2500 0.2500 0.5218
O 0.7500 0.2500 0.0144
O 0.2500 0.7500 0.4856
O 0.2500 0.7500 0.9856
O 0.7500 0.2500 0.5144


! Sr2SnO4, relaxed, DFT PBE; values from VASP
! energy relative to the lowest polymorph listed for this composition = 14 meV per atom
! symmetry = I4/mmm
&SYSTEM
  ibrav = 0, nat = 7, ntyp = 3
/
ATOMIC_SPECIES
Sr 87.62 Sr.upf
Sn 118.71 Sn.upf
O 16.00 O.upf
CELL_PARAMETERS angstrom
4.1178 0.0000 0.0000
0.0000 4.1178 0.0000
-2.0589 -2.0589 6.3508
ATOMIC_POSITIONS crystal
Sr 0.6462 0.6462 0.2924
Sr 0.3538 0.3538 0.7076
Sn 0.0000 0.0000 0.0000
O 0.8360 0.8360 0.6719
O 0.1640 0.1640 0.3281
O 0.0000 0.5000 0.0000
O 0.5000 0.0000 0.0000


! Sr2SnO4, relaxed, DFT PBE; values from VASP
! energy relative to the lowest polymorph listed for this composition = 2 meV per atom
! symmetry = Cmce
&SYSTEM
  ibrav = 0, nat = 14, ntyp = 3
/
ATOMIC_SPECIES
Sr 87.62 Sr.upf
Sn 118.71 Sn.upf
O 16.00 O.upf
CELL_PARAMETERS angstrom
2.9000 -6.2905 0.0000
2.9000 6.2905 0.0000
0.0000 0.0000 5.9190
ATOMIC_POSITIONS crystal
Sr 0.1472 0.8528 0.4854
Sr 0.8528 0.1472 0.5146
Sr 0.3528 0.6472 0.9854
Sr 0.6472 0.3528 0.0146
Sn 0.5000 0.5000 0.5000
Sn 0.0000 0.0000 0.0000
O 0.3368 0.6632 0.5572
O 0.6632 0.3368 0.4428
O 0.1632 0.8368 0.0572
O 0.8368 0.1632 0.9428
O 0.2284 0.2716 0.2500
O 0.2716 0.2284 0.7500
O 0.7284 0.7716 0.2500
O 0.7716 0.7284 0.7500


! Sr2TbSnO6, relaxed, DFT PBE; values from VASP
! spin magnetization = 1.00 μB/f.u.
! energy relative to the lowest polymorph listed for this composition = 0 meV per atom
! symmetry = Pn-3
&SYSTEM
  ibrav = 0, nat = 40, ntyp = 4
/
ATOMIC_SPECIES
Sr 87.62 Sr.upf
Tb 158.93 Tb.upf
Sn 118.71 Sn.upf
O 16.00 O.upf
CELL_PARAMETERS angstrom
8.4757 0.0000 0.0000
0.0000 8.4757 0.0000
0.0000 0.0000 8.4757
ATOMIC_POSITIONS crystal
Sr 0.5000 0.5000 0.5000
Sr 0.0000 0.0000 0.0000
Sr 0.0000 0.0000 0.5000
Sr 0.0000 0.5000 0.0000
Sr 0.5000 0.0000 0.0000
Sr 0.5000 0.5000 0.0000
Sr 0.5000 0.0000 0.5000
Sr 0.0000 0.5000 0.5000
Tb 0.2500 0.2500 0.2500
Tb 0.2500 0.7500 0.7500
Tb 0.7500 0.2500 0.7500
Tb 0.7500 0.7500 0.2500
Sn 0.7500 0.7500 0.7500
Sn 0.7500 0.2500 0.2500
Sn 0.2500 0.7500 0.2500
Sn 0.2500 0.2500 0.7500
O 0.2158 0.2904 0.5100
O 0.2158 0.7096 0.4900
O 0.7842 0.2904 0.4900
O 0.7842 0.7096 0.5100
O 0.2904 0.5100 0.2158
O 0.7096 0.4900 0.2158
O 0.2904 0.4900 0.7842
O 0.7096 0.5100 0.7842
O 0.5100 0.2158 0.2904
O 0.4900 0.2158 0.7096
O 0.4900 0.7842 0.2904
O 0.5100 0.7842 0.7096
O 0.2842 0.2096 0.9900
O 0.2842 0.7904 0.0100
O 0.7158 0.2096 0.0100
O 0.7158 0.7904 0.9900
O 0.2096 0.9900 0.2842
O 0.7904 0.0100 0.2842
O 0.2096 0.0100 0.7158
O 0.7904 0.9900 0.7158
O 0.9900 0.2842 0.2096
O 0.0100 0.2842 0.7904
O 0.0100 0.7158 0.2096
O 0.9900 0.7158 0.7904


! Sr2TbSnO6, relaxed, DFT PBE; values from VASP
! spin magnetization = 1.00 μB/f.u.
! energy relative to the lowest polymorph listed for this composition = 46 meV per atom
! symmetry = Fm-3m
&SYSTEM
  ibrav = 0, nat = 10, ntyp = 4
/
ATOMIC_SPECIES
Sr 87.62 Sr.upf
Tb 158.93 Tb.upf
Sn 118.71 Sn.upf
O 16.00 O.upf
CELL_PARAMETERS angstrom
0.0000 -4.2650 -4.2650
4.2650 0.0000 -4.2650
4.2650 -4.2650 0.0000
ATOMIC_POSITIONS crystal
Sr 0.2500 0.2500 0.2500
Sr 0.7500 0.7500 0.7500
Tb 0.5000 0.5000 0.5000
Sn 0.0000 0.0000 0.0000
O 0.7593 0.2407 0.2407
O 0.2407 0.7593 0.7593
O 0.7593 0.2407 0.7593
O 0.2407 0.7593 0.2407
O 0.7593 0.7593 0.2407
O 0.2407 0.2407 0.7593


! SrZrTiSnO6, relaxed, DFT PBE; values from VASP
! spin magnetization = 0.00 μB/f.u.
! symmetry = F-43m
&SYSTEM
  ibrav = 0, nat = 10, ntyp = 5
/
ATOMIC_SPECIES
Sr 87.62 Sr.upf
Zr 91.22 Zr.upf
Ti 47.87 Ti.upf
Sn 118.71 Sn.upf
O 16.00 O.upf
CELL_PARAMETERS angstrom
0.0000 -4.0688 -4.0688
4.0688 0.0000 -4.0688
4.0688 -4.0688 0.0000
ATOMIC_POSITIONS crystal
Sr 0.2500 0.2500 0.2500
Zr 0.5000 0.5000 0.5000
Ti 0.0000 0.0000 0.0000
Sn 0.7500 0.7500 0.7500
O 0.7579 0.2421 0.2421
O 0.2421 0.7579 0.7579
O 0.7579 0.2421 0.7579
O 0.2421 0.7579 0.2421
O 0.7579 0.7579 0.2421
O 0.2421 0.2421 0.7579


! Sr2Y2Sn2O7, relaxed, DFT PBE; values from VASP
! spin magnetization = 0.00 μB/f.u.
! symmetry = Ima2
&SYSTEM
  ibrav = 0, nat = 26, ntyp = 4
/
ATOMIC_SPECIES
Sr 87.62 Sr.upf
Y 88.91 Y.upf
Sn 118.71 Sn.upf
O 16.00 O.upf
CELL_PARAMETERS angstrom
-10.9481 3.4523 3.2015
10.9481 -3.4523 3.2015
10.9481 3.4523 -3.2015
ATOMIC_POSITIONS crystal
Sr 0.0471 0.8151 0.9238
Sr 0.8913 0.1233 0.0762
Sr 0.0471 0.6233 0.7320
Sr 0.8913 0.3151 0.2680
Y 0.0112 0.5112 0.5000
Y 0.0112 0.0112 0.0000
Y 0.5516 0.7020 0.3495
Y 0.3525 0.2020 0.6505
Sn 0.4891 0.4428 0.8968
Sn 0.5459 0.5923 0.1032
Sn 0.4891 0.0923 0.5463
Sn 0.5459 0.9428 0.4537
O 0.9932 0.8541 0.6391
O 0.2150 0.3541 0.3609
O 0.3445 0.1536 0.0554
O 0.0982 0.2892 0.9446
O 0.3445 0.7892 0.6909
O 0.0982 0.6536 0.3091
O 0.7198 0.8269 0.7314
O 0.0955 0.9884 0.2686
O 0.7198 0.4884 0.3929
O 0.0955 0.3269 0.6071
O 0.4932 0.8859 0.2578
O 0.6281 0.2354 0.7422
O 0.4932 0.7354 0.1073
O 0.6281 0.3859 0.8927


! Sr2YSn2O7, relaxed, DFT PBE; values from VASP
! spin magnetization = 0.00 μB/f.u.
! symmetry = Ima2
&SYSTEM
  ibrav = 0, nat = 24, ntyp = 4
/
ATOMIC_SPECIES
Sr 87.62 Sr.upf
Y 88.91 Y.upf
Sn 118.71 Sn.upf
O 16.00 O.upf
CELL_PARAMETERS angstrom
-2.7444 2.8440 13.8491
2.7444 -2.8440 13.8491
2.7444 2.8440 -13.8491
ATOMIC_POSITIONS crystal
Sr 0.8108 0.7241 0.9138
Sr 0.1897 0.2759 0.0868
Sr 0.6897 0.6030 0.9138
Sr 0.3108 0.3970 0.0868
Y 0.5172 0.5000 0.0172
Y 0.0172 0.0000 0.0172
Sn 0.4371 0.9220 0.5201
Sn 0.5981 0.0780 0.5151
Sn 0.0981 0.5830 0.5201
Sn 0.9371 0.4170 0.5151
O 0.0063 0.5124 0.0187
O 0.5063 0.4876 0.4939
O 0.2164 0.1989 0.5159
O 0.3170 0.8011 0.0174
O 0.8170 0.7996 0.5159
O 0.7164 0.2004 0.0174
O 0.7165 0.6990 0.5187
O 0.8198 0.3010 0.0175
O 0.3198 0.3022 0.5187
O 0.2165 0.6978 0.0175
O 0.8712 0.3537 0.5283
O 0.1747 0.6463 0.5175
O 0.6747 0.1572 0.5283
O 0.3712 0.8428 0.5175


| no. | DFT formation energy (eV per atom) | raw total energy (eV/f.u.) |
| --- | --- | --- |
| 1 | -1.618 | -69.290 |
| 2 | -1.270 | -60.089 |
| 3 | -1.629 | -11.528 |
| 4 | -1.440 | -11.150 |
| 5 | -0.684 | -14.331 |
| 6 | -2.786 | -43.935 |
| 7 | -2.783 | -43.916 |
| 8 | -2.773 | -43.841 |
| 9 | -2.784 | -43.921 |
| 10 | -2.895 | -66.534 |
| 11 | -2.849 | -66.077 |
| 12 | -3.111 | -78.820 |
| 13 | -2.760 | -90.036 |
| 14 | -2.594 | -78.814 |